Here is an optimized crystal structure of CuAuO2 from Materials Project. Energies are from PBE.

MP2020-corrected energy	-5.02	eV/atom
ΔH_f (0 K)	-0.698	eV per atom
symmetry	C2/m (12)
ρ	8.85	g/cm3
uncorrected energy	-4.672	eV per atom

Structure (POSCAR):
```
CuAuO2
1.0
3.148 -1.424 0.000
3.148 1.424 0.000
-0.864 0.000 6.120
Cu Au O
1 1 2
direct
0.000 0.000 0.000
0.500 0.500 0.500
0.413 0.413 0.170
0.587 0.587 0.830
```

Here is an optimized crystal structure of KRb2LuCl6 from Materials Project. Energies are from PBE.

MP2020-corrected energy	-4.34	eV/atom
ΔH_f (0 K)	-2.475	eV per atom
symmetry	Fm-3m (225)
spin magnetization	0.00	μB per formula unit
ρ	2.86	g/cm3
uncorrected energy	-3.975	eV per atom

Structure (POSCAR):
```
KRb2LuCl6
1.0
0.000 5.575 5.575
5.575 0.000 5.575
5.575 5.575 0.000
K Rb Lu Cl
1 2 1 6
direct
0.000 0.000 0.000
0.250 0.250 0.250
0.750 0.750 0.750
0.500 0.500 0.500
0.269 0.269 0.731
0.269 0.731 0.269
0.269 0.731 0.731
0.731 0.269 0.269
0.731 0.269 0.731
0.731 0.731 0.269
```

Here is an optimized crystal structure of CdP2H10N2O8 from Materials Project. Energies are from PBE.

MP2020-corrected energy	-5.83	eV/atom
ΔH_f (0 K)	-1.397	eV per atom
symmetry	P2_1/c (14)
spin magnetization	0.09	μB per formula unit
ρ	2.46	g/cm3
uncorrected energy	-5.590	eV per atom

Structure (POSCAR):
```
CdP2H10N2O8
1.0
6.543 0.000 0.000
0.000 10.779 0.000
-3.031 0.000 13.017
Cd P H N O
4 8 40 8 32
direct
0.041 0.187 0.150
0.041 0.313 0.650
0.959 0.687 0.350
0.959 0.813 0.850
0.046 0.184 0.418
0.046 0.316 0.918
0.264 0.028 0.605
0.264 0.472 0.105
0.736 0.528 0.895
0.736 0.972 0.395
0.954 0.684 0.082
0.954 0.816 0.582
0.067 0.071 0.899
0.067 0.429 0.399
0.100 0.044 0.787
0.100 0.456 0.287
0.306 0.043 0.438
0.306 0.457 0.938
0.309 0.688 0.111
0.309 0.812 0.611
0.379 0.676 0.872
0.379 0.824 0.372
0.383 0.720 0.458
0.383 0.780 0.958
0.390 0.190 0.872
0.390 0.310 0.372
0.414 0.045 0.239
0.414 0.455 0.739
0.427 0.591 0.608
0.427 0.909 0.108
0.482 0.134 0.156
0.482 0.366 0.656
0.518 0.634 0.344
0.518 0.866 0.844
0.573 0.091 0.892
0.573 0.409 0.392
0.586 0.545 0.261
0.586 0.955 0.761
0.610 0.690 0.628
0.610 0.810 0.128
0.617 0.220 0.042
0.617 0.280 0.542
0.621 0.176 0.628
0.621 0.324 0.128
0.691 0.188 0.389
0.691 0.312 0.889
0.694 0.543 0.062
0.694 0.957 0.562
0.900 0.544 0.713
0.900 0.956 0.213
0.933 0.571 0.601
0.933 0.929 0.101
0.193 0.621 0.106
0.193 0.879 0.606
0.212 0.079 0.483
0.212 0.421 0.983
0.788 0.579 0.017
0.788 0.921 0.517
0.807 0.121 0.394
0.807 0.379 0.894
0.033 0.197 0.979
0.033 0.303 0.479
0.106 0.006 0.854
0.106 0.494 0.354
0.126 0.209 0.322
0.126 0.291 0.822
0.131 0.103 0.662
0.131 0.397 0.162
0.333 0.738 0.383
0.333 0.762 0.883
0.369 0.077 0.167
0.369 0.423 0.667
0.464 0.676 0.592
0.464 0.824 0.092
0.498 0.529 0.857
0.498 0.971 0.357
0.502 0.029 0.643
0.502 0.471 0.143
0.536 0.176 0.908
0.536 0.324 0.408
0.631 0.577 0.333
0.631 0.923 0.833
0.667 0.238 0.117
0.667 0.262 0.617
0.869 0.603 0.838
0.869 0.897 0.338
0.874 0.709 0.178
0.874 0.791 0.678
0.894 0.506 0.646
0.894 0.994 0.146
0.967 0.697 0.521
0.967 0.803 0.021
```

Here is an optimized crystal structure of Sr2CuBr2O2 from Materials Project. Energies are from PBE.

MP2020-corrected energy	-4.68	eV/atom
ΔH_f (0 K)	-1.728	eV per atom
symmetry	P4/mmm (123)
ΔE to the lowest computed polymorph	407	meV per atom
ρ	4.47	g/cm3
uncorrected energy	-4.481	eV per atom

Structure (POSCAR):
```
Sr2CuBr2O2
1.0
4.936 0.000 0.000
0.000 4.936 0.000
0.000 0.000 6.572
Sr Cu Br O
2 1 2 2
direct
0.000 0.500 0.000
0.500 0.000 0.000
0.000 0.000 0.500
0.000 0.500 0.500
0.500 0.000 0.500
0.000 0.000 0.000
0.500 0.500 0.000
```

Here is an optimized crystal structure of Ba2DyMgNbO6 from Materials Project. Energies are from PBE.

MP2020-corrected energy	-7.33	eV/atom
ΔH_f (0 K)	-2.804	eV per atom
symmetry	Immm (71)
ΔE to the lowest computed polymorph	46	meV per atom
spin magnetization	1.45	μB per formula unit
ρ	6.17	g/cm3
uncorrected energy	-6.960	eV per atom

Structure (POSCAR):
```
Ba2DyMgNbO6
1.0
-3.001 3.149 4.633
3.001 -3.149 4.633
3.001 3.149 -4.633
Ba Dy Mg Nb O
2 1 1 1 6
direct
0.188 0.188 0.000
0.812 0.812 0.000
0.500 0.000 0.500
0.500 0.500 0.000
0.000 0.500 0.500
0.233 0.733 0.500
0.261 0.271 0.532
0.261 0.729 0.990
0.739 0.271 0.010
0.739 0.729 0.468
0.767 0.267 0.500
```

Here is an optimized crystal structure of Hf3Cd3AgF20 from Materials Project. Energies are from PBE.

MP2020-corrected energy	-6.05	eV/atom
ΔH_f (0 K)	-3.316	eV per atom
symmetry	P6_3/m (176)
spin magnetization	0.01	μB per formula unit
ρ	5.40	g/cm3
uncorrected energy	-5.706	eV per atom

Structure (POSCAR):
```
Hf3Cd3AgF20
1.0
10.681 0.000 0.000
-5.340 9.250 0.000
0.000 0.000 8.473
Hf Cd Ag F
6 6 2 40
direct
0.139 0.417 0.250
0.278 0.861 0.250
0.417 0.278 0.750
0.583 0.722 0.250
0.722 0.139 0.750
0.861 0.583 0.750
0.162 0.433 0.750
0.270 0.838 0.750
0.433 0.270 0.250
0.567 0.730 0.750
0.730 0.162 0.250
0.838 0.567 0.250
0.000 0.000 0.250
0.000 0.000 0.750
0.000 0.000 0.000
0.000 0.000 0.500
0.033 0.797 0.750
0.056 0.585 0.750
0.058 0.775 0.250
0.146 0.425 0.015
0.146 0.425 0.485
0.185 0.634 0.250
0.203 0.235 0.750
0.225 0.283 0.250
0.235 0.033 0.250
0.280 0.854 0.015
0.280 0.854 0.485
0.283 0.058 0.750
0.333 0.667 0.750
0.366 0.551 0.250
0.415 0.472 0.750
0.425 0.280 0.515
0.425 0.280 0.985
0.449 0.815 0.250
0.472 0.056 0.250
0.528 0.944 0.750
0.551 0.185 0.750
0.575 0.720 0.015
0.575 0.720 0.485
0.585 0.528 0.250
0.634 0.449 0.750
0.667 0.333 0.250
0.717 0.942 0.250
0.720 0.146 0.515
0.720 0.146 0.985
0.765 0.967 0.750
0.775 0.717 0.750
0.797 0.765 0.250
0.815 0.366 0.750
0.854 0.575 0.515
0.854 0.575 0.985
0.942 0.225 0.750
0.944 0.415 0.250
0.967 0.203 0.250
```

Here is an optimized crystal structure of Ce2Al3Ge4 from Materials Project. Energies are from PBE.

ΔH_f (0 K)	-0.468	eV per atom
symmetry	Cmce (64)
ρ	6.02	g/cm3
uncorrected energy	-5.090	eV per atom

Structure (POSCAR):
```
Ce2Al3Ge4
1.0
3.013 -7.522 0.000
3.013 7.522 0.000
0.000 0.000 7.937
Ce Al Ge
4 6 8
direct
0.114 0.886 0.918
0.386 0.614 0.418
0.614 0.386 0.582
0.886 0.114 0.082
0.000 0.000 0.500
0.035 0.465 0.750
0.465 0.035 0.250
0.500 0.500 0.000
0.535 0.965 0.750
0.965 0.535 0.250
0.184 0.816 0.551
0.204 0.296 0.750
0.296 0.204 0.250
0.316 0.684 0.051
0.684 0.316 0.949
0.704 0.796 0.750
0.796 0.704 0.250
0.816 0.184 0.449
```

Here is an optimized crystal structure of ErAlB14 from Materials Project. Energies are from PBE.

ΔH_f (0 K)	-0.162	eV per atom
symmetry	Imma (74)
spin magnetization	0.00	μB per formula unit
ρ	4.51	g/cm3
uncorrected energy	-6.526	eV per atom

Structure (POSCAR):
```
ErAlB14
1.0
-2.956 5.228 4.115
2.956 -5.228 4.115
2.956 5.228 -4.115
Er Al B
2 2 28
direct
0.403 0.153 0.250
0.597 0.847 0.750
0.000 0.000 0.500
0.000 0.500 0.000
0.019 0.875 0.144
0.032 0.204 0.332
0.032 0.700 0.828
0.077 0.667 0.410
0.201 0.534 0.667
0.223 0.500 0.399
0.223 0.825 0.723
0.231 0.875 0.356
0.242 0.333 0.910
0.366 0.534 0.833
0.372 0.204 0.672
0.372 0.700 0.168
0.399 0.175 0.899
0.399 0.500 0.223
0.601 0.500 0.777
0.601 0.825 0.101
0.628 0.300 0.832
0.628 0.796 0.328
0.634 0.466 0.167
0.758 0.667 0.090
0.769 0.125 0.644
0.777 0.175 0.277
0.777 0.500 0.601
0.799 0.466 0.333
0.923 0.333 0.590
0.968 0.300 0.172
0.968 0.796 0.668
0.981 0.125 0.856
```

Here is an optimized crystal structure of Ce2U3O10 from Materials Project. Energies are from PBE.

MP2020-corrected energy	-10.22	eV/atom
ΔH_f (0 K)	-3.874	eV per atom
symmetry	C2/m (12)
ρ	9.50	g/cm3
uncorrected energy	-9.764	eV per atom

Structure (POSCAR):
```
Ce2U3O10
1.0
6.085 -2.723 0.000
6.085 2.723 0.000
-6.053 0.000 6.088
Ce U O
2 3 10
direct
0.199 0.199 0.299
0.801 0.801 0.701
0.000 0.000 0.500
0.400 0.400 0.100
0.600 0.600 0.900
0.047 0.554 0.196
0.160 0.657 0.604
0.259 0.741 0.000
0.343 0.840 0.396
0.446 0.953 0.804
0.554 0.047 0.196
0.657 0.160 0.604
0.741 0.259 0.000
0.840 0.343 0.396
0.953 0.446 0.804
```

Here is an optimized crystal structure of TmHfCo2 from Materials Project. Energies are from PBE.

ΔH_f (0 K)	-0.299	eV per atom
symmetry	Fm-3m (225)
ρ	11.60	g/cm3
uncorrected energy	-7.461	eV per atom

Structure (POSCAR):
```
TmHfCo2
1.0
0.000 3.217 3.217
3.217 0.000 3.217
3.217 3.217 0.000
Tm Hf Co
1 1 2
direct
0.000 0.000 0.000
0.500 0.500 0.500
0.250 0.250 0.250
0.750 0.750 0.750
```

Here is an optimized crystal structure of MgPC2O8 from Materials Project. Energies are from PBE.

MP2020-corrected energy	-6.86	eV/atom
ΔH_f (0 K)	-1.438	eV per atom
symmetry	P2_1/c (14)
spin magnetization	3.00	μB per formula unit
ρ	1.57	g/cm3
uncorrected energy	-6.401	eV per atom

Structure (POSCAR):
```
MgPC2O8
1.0
6.249 0.000 0.000
0.000 18.236 0.000
-2.629 0.000 7.696
Mg P C O
4 4 8 32
direct
0.173 0.134 0.479
0.173 0.366 0.979
0.827 0.634 0.021
0.827 0.866 0.521
0.092 0.190 0.849
0.092 0.310 0.349
0.908 0.690 0.651
0.908 0.810 0.151
0.240 0.699 0.691
0.240 0.801 0.191
0.408 0.538 0.655
0.408 0.962 0.155
0.592 0.038 0.845
0.592 0.462 0.345
0.760 0.199 0.809
0.760 0.301 0.309
0.067 0.158 0.673
0.067 0.342 0.173
0.098 0.227 0.353
0.098 0.273 0.853
0.136 0.039 0.344
0.136 0.461 0.844
0.191 0.147 0.008
0.191 0.353 0.508
0.270 0.531 0.519
0.270 0.969 0.019
0.420 0.721 0.720
0.420 0.779 0.220
0.450 0.110 0.410
0.450 0.390 0.910
0.453 0.048 0.709
0.453 0.452 0.209
0.547 0.548 0.791
0.547 0.952 0.291
0.550 0.610 0.090
0.550 0.890 0.590
0.580 0.221 0.780
0.580 0.279 0.280
0.730 0.031 0.981
0.730 0.469 0.481
0.809 0.647 0.492
0.809 0.853 0.992
0.864 0.539 0.156
0.864 0.961 0.656
0.902 0.727 0.147
0.902 0.773 0.647
0.933 0.658 0.827
0.933 0.842 0.327
```

Here is an optimized crystal structure of MoWSeS3 from Materials Project. Energies are from PBE.

MP2020-corrected energy	-7.65	eV/atom
ΔH_f (0 K)	-1.034	eV per atom
symmetry	P3m1 (156)
ΔE to the lowest computed polymorph	0	meV per atom
spin magnetization	0.00	μB per formula unit
ρ	4.63	g/cm3
uncorrected energy	-7.401	eV per atom

Structure (POSCAR):
```
MoWSeS3
1.0
3.220 0.000 0.000
-1.610 2.789 0.000
0.000 0.000 36.367
Mo W Se S
2 2 2 6
direct
0.000 0.000 0.000
0.333 0.667 0.812
0.000 0.000 0.624
0.333 0.667 0.188
0.333 0.667 0.047
0.333 0.667 0.953
0.000 0.000 0.145
0.000 0.000 0.231
0.000 0.000 0.769
0.000 0.000 0.855
0.333 0.667 0.581
0.333 0.667 0.667
```

Q: uncorrected energy of number 11 (MgPC2O8)?
A: -6.401 eV per atom